# Na4TiZnSi2SO12

A geometry-optimized Na4TiZnSi2SO12 structure (GGA-PBE, the Materials Project).

Computed properties:
M_tot: 0.00 Bohr magnetons per cell
formation enthalpy at 0 K: -246.8 kJ per mole of atoms
theoretical density: 3.05 g/cm3

Unit cell a=9.128 b=9.113 c=21.998 alpha=90.47 beta=90.00 gamma=120.06
Sites, in units of the cell vectors:
O (0.483, 0.362, 0.146)
O (0.456, 0.148, 0.529)
O (0.821, 0.828, 0.913)
Si (0.290, 0.294, 0.752)
Zn (0.000, 0.002, 0.349)
O (0.467, 0.120, 0.640)
S (0.340, 0.376, 0.417)
O (0.134, 0.454, 0.974)
O (0.320, 0.454, 0.474)
O (0.154, 0.495, 0.579)
Na (0.631, 0.620, 0.741)
Na (0.319, 0.655, 0.161)
O (0.839, 0.305, 0.525)
Na (0.964, 0.286, 0.408)
O (0.466, 0.305, 0.025)
O (0.814, 0.991, 0.413)
Ti (0.028, 0.011, 0.147)
Na (0.702, 0.024, 0.912)
O (0.304, 0.821, 0.254)
Ti (0.649, 0.344, 0.980)
Ti (0.362, 0.678, 0.814)
O (0.520, 0.148, 0.923)
Ti (0.695, 0.344, 0.480)
Si (0.372, 0.337, 0.087)
Si (0.705, 0.003, 0.753)
O (0.160, 0.189, 0.692)
O (0.186, 0.481, 0.256)
Na (0.669, 0.322, 0.328)
Na (0.312, 0.354, 0.586)
O (0.971, 0.154, 0.588)
O (0.025, 0.815, 0.696)
O (0.636, 0.515, 0.645)
O (0.498, 0.363, 0.419)
O (0.173, 0.972, 0.192)
O (0.506, 0.638, 0.859)
Na (0.656, 0.953, 0.574)
O (0.184, 0.154, 0.088)
O (0.653, 0.120, 0.140)
O (0.177, 0.991, 0.913)
Na (0.988, 0.357, 0.745)
Ti (0.316, 0.678, 0.314)
O (0.962, 0.815, 0.089)
O (0.831, 0.030, 0.086)
Na (0.979, 0.687, 0.919)
O (0.986, 0.787, 0.807)
O (0.190, 0.204, 0.414)
Ti (0.983, 0.011, 0.647)
Na (0.708, 0.687, 0.419)
O (0.545, 0.695, 0.979)
Na (0.646, 0.021, 0.253)
Na (0.322, 0.024, 0.412)
Na (0.989, 0.620, 0.241)
O (0.517, 0.821, 0.754)
Si (0.004, 0.294, 0.252)
Si (0.039, 0.670, 0.420)
O (0.856, 0.537, 0.747)
Si (0.670, 0.627, 0.586)
Zn (0.333, 0.668, 0.015)
Na (0.042, 0.354, 0.086)
O (0.007, 0.828, 0.413)
O (0.164, 0.696, 0.753)
S (0.037, 0.376, 0.917)
Zn (0.666, 0.335, 0.682)
O (0.148, 0.658, 0.079)
O (0.879, 0.362, 0.646)
O (0.850, 0.488, 0.421)
O (0.545, 0.848, 0.479)
O (0.817, 0.029, 0.813)
Si (0.631, 0.670, 0.920)
Zn (0.669, 0.335, 0.182)
O (0.853, 0.815, 0.589)
Na (0.336, 0.655, 0.661)
O (0.696, 0.522, 0.526)
O (0.532, 0.696, 0.253)
O (0.865, 0.363, 0.919)
O (0.123, 0.481, 0.863)
Na (0.655, 0.691, 0.079)
O (0.827, 0.522, 0.026)
O (0.493, 0.856, 0.359)
O (0.348, 0.871, 0.581)
Si (0.957, 0.627, 0.086)
Na (0.653, 0.322, 0.828)
Si (0.965, 0.337, 0.587)
S (0.703, 0.710, 0.251)
O (0.801, 0.787, 0.307)
Na (0.036, 0.691, 0.579)
O (0.212, 0.181, 0.812)
O (0.843, 0.324, 0.246)
O (0.637, 0.488, 0.921)
O (0.628, 0.148, 0.423)
O (0.014, 0.204, 0.914)
Na (0.322, 0.286, 0.908)
O (0.488, 0.162, 0.246)
Si (0.624, 0.961, 0.419)
Na (0.375, 0.021, 0.753)
O (0.132, 0.638, 0.359)
Na (0.369, 0.357, 0.245)
Zn (0.335, 0.668, 0.515)
O (0.681, 0.537, 0.247)
Na (0.297, 0.953, 0.074)
O (0.150, 0.695, 0.479)
Si (0.298, 0.003, 0.253)
O (0.523, 0.871, 0.081)
O (0.481, 0.324, 0.746)
O (0.674, 0.162, 0.746)
O (0.199, 0.030, 0.586)
Zn (0.002, 0.002, 0.849)
S (0.370, 0.043, 0.584)
O (0.790, 0.815, 0.196)
S (0.673, 0.043, 0.084)
O (0.362, 0.856, 0.859)
O (0.510, 0.658, 0.579)
O (0.295, 0.481, 0.756)
O (0.029, 0.189, 0.192)
O (0.212, 0.029, 0.313)
Na (0.986, 0.988, 0.495)
O (0.340, 0.495, 0.079)
O (0.303, 0.848, 0.979)
O (0.878, 0.515, 0.145)
Na (0.002, 0.988, 0.995)
O (0.970, 0.181, 0.312)
O (0.692, 0.148, 0.029)
S (0.006, 0.710, 0.751)
O (0.799, 0.972, 0.692)
O (0.358, 0.481, 0.363)
Si (0.337, 0.961, 0.919)